Ni3P4PbO14 | GGA+U | relaxed

The calculation puts the theoretical density at 4.71 Mg/m³. The total magnetization is 6.000 μB per formula unit. The value obtained for the energy of formation is -2.29 eV/atom.

Cell: 7.4857 7.7960 9.5296 Å, 90.00 112.04 90.00°
With the nearest neighbours (Å) after each atom.
Space group P2_1/c (No. 14)
Unique sites:
Ni: 0.0000 0.0000 0.0000 [2 per cell]  6 O 2.08-2.15
Ni: 0.1847 0.1241 0.5260 [4 per cell]  6 O 2.07-2.23
P: 0.1094 0.7023 0.8048 [4 per cell]  4 O 1.52-1.61
P: 0.3962 0.0580 0.2985 [4 per cell]  4 O 1.52-1.61
Pb: 0.5000 0.0000 0.0000 [2 per cell]  8 O 2.61-2.74
O: 0.0043 0.2091 0.8663 [4 per cell]  1 P 1.53
O: 0.0273 0.5746 0.8874 [4 per cell]  1 P 1.53
O: 0.1526 0.6262 0.3872 [4 per cell]  1 P 1.52
O: 0.2672 0.1210 0.1365 [4 per cell]  1 P 1.56
O: 0.3155 0.6293 0.8159 [4 per cell]  2 P 1.61
O: 0.3767 0.1740 0.4202 [4 per cell]  1 P 1.52
O: 0.3994 0.5225 0.1929 [4 per cell]  1 P 1.53